(1)
LaNi5P3 after structural relaxation, computed with PBE.

## Properties
SG = Cmcm, No. 63
crystal system = orthorhombic

Cell: 6.123 6.123 11.503 Å, 90.00 90.00 145.49°
Atoms (fractional coordinates):
P (0.118, 0.882, 0.539)
P (0.617, 0.383, 0.250)
P (0.118, 0.882, 0.961)
P (0.882, 0.118, 0.039)
P (0.882, 0.118, 0.461)
P (0.383, 0.617, 0.750)
Ni (0.699, 0.301, 0.431)
Ni (0.949, 0.051, 0.645)
Ni (0.301, 0.699, 0.569)
Ni (0.301, 0.699, 0.931)
Ni (0.051, 0.949, 0.355)
Ni (0.500, 0.500, 0.500)
Ni (0.500, 0.500, 0.000)
Ni (0.051, 0.949, 0.145)
Ni (0.949, 0.051, 0.855)
Ni (0.699, 0.301, 0.069)
La (0.338, 0.662, 0.250)
La (0.662, 0.338, 0.750)

(2)
ZnCu3H6Cl2O6 after structural relaxation, computed with PBE.

## Properties
SG = P-3m1, No. 164
crystal system = trigonal
total magnetization = 3.0 μB per formula unit
offset from the most stable computed form = 0.005 eV per atom

Cell: 6.356 6.356 5.745 Å, 90.00 90.00 120.00°
Atoms (fractional coordinates):
O (0.177, 0.355, 0.655)
O (0.355, 0.177, 0.345)
O (0.645, 0.823, 0.655)
O (0.823, 0.645, 0.345)
O (0.177, 0.823, 0.655)
O (0.823, 0.177, 0.345)
Cu (0.500, 0.500, 0.500)
Cu (0.000, 0.500, 0.500)
Cu (0.500, 0.000, 0.500)
H (0.399, 0.199, 0.179)
H (0.199, 0.399, 0.821)
H (0.199, 0.801, 0.821)
H (0.601, 0.801, 0.821)
H (0.801, 0.199, 0.179)
H (0.801, 0.601, 0.179)
Cl (0.333, 0.667, 0.122)
Cl (0.667, 0.333, 0.878)
Zn (0.000, 0.000, 0.500)

(3)
K3CoC6N6 after structural relaxation, computed with PBE.

## Properties
SG = Pnc2, No. 30
crystal system = orthorhombic
total magnetization = 0.0 μB per formula unit
offset from the most stable computed form = 0.008 eV per atom

Cell: 8.349 10.365 26.712 Å, 90.00 90.00 90.00°
Atoms (fractional coordinates):
N (0.251, 0.083, 0.425)
N (0.998, 0.270, 0.048)
N (0.007, 0.918, 0.825)
N (0.998, 0.730, 0.952)
N (0.249, 0.581, 0.077)
N (0.498, 0.916, 0.325)
N (0.247, 0.414, 0.422)
N (0.251, 0.916, 0.077)
N (0.758, 0.268, 0.796)
N (0.240, 0.769, 0.704)
N (0.240, 0.231, 0.296)
N (0.493, 0.922, 0.827)
N (0.998, 0.584, 0.325)
N (0.749, 0.919, 0.077)
N (0.251, 0.917, 0.575)
N (0.758, 0.732, 0.204)
N (0.749, 0.081, 0.923)
N (0.507, 0.418, 0.175)
N (0.751, 0.584, 0.077)
N (0.504, 0.578, 0.328)
N (0.493, 0.078, 0.173)
N (0.740, 0.731, 0.704)
N (0.507, 0.582, 0.825)
N (0.740, 0.269, 0.296)
N (0.258, 0.768, 0.204)
N (0.249, 0.419, 0.923)
N (0.998, 0.416, 0.675)
N (0.007, 0.082, 0.175)
N (0.001, 0.730, 0.452)
N (0.751, 0.416, 0.923)
N (0.498, 0.084, 0.675)
N (0.004, 0.078, 0.672)
N (0.251, 0.084, 0.923)
N (0.498, 0.770, 0.952)
N (0.747, 0.914, 0.578)
N (0.247, 0.586, 0.578)
N (0.501, 0.770, 0.452)
N (0.501, 0.230, 0.548)
N (0.993, 0.422, 0.173)
N (0.258, 0.232, 0.796)
N (0.004, 0.922, 0.328)
N (0.751, 0.583, 0.575)
N (0.747, 0.086, 0.422)
N (0.993, 0.578, 0.827)
N (0.751, 0.417, 0.425)
N (0.498, 0.230, 0.048)
N (0.001, 0.270, 0.548)
N (0.504, 0.422, 0.672)
C (0.654, 0.449, 0.454)
C (0.000, 0.833, 0.471)
C (0.591, 0.048, 0.202)
C (0.344, 0.550, 0.047)
C (0.499, 0.668, 0.971)
C (0.598, 0.948, 0.296)
C (0.999, 0.832, 0.971)
C (0.098, 0.552, 0.296)
C (0.500, 0.333, 0.529)
C (0.344, 0.450, 0.953)
C (0.154, 0.949, 0.546)
C (0.591, 0.952, 0.798)
C (0.654, 0.551, 0.546)
C (0.091, 0.548, 0.798)
C (0.744, 0.166, 0.278)
C (0.843, 0.948, 0.548)
C (0.255, 0.335, 0.778)
C (0.091, 0.452, 0.202)
C (0.755, 0.835, 0.222)
C (0.408, 0.451, 0.703)
C (0.844, 0.050, 0.953)
C (0.655, 0.551, 0.047)
C (0.408, 0.549, 0.297)
C (0.999, 0.168, 0.029)
C (0.343, 0.448, 0.452)
C (0.343, 0.552, 0.548)
C (0.155, 0.949, 0.047)
C (0.905, 0.052, 0.203)
C (0.744, 0.834, 0.722)
C (0.244, 0.334, 0.278)
C (0.154, 0.051, 0.454)
C (0.844, 0.950, 0.047)
C (0.000, 0.167, 0.529)
C (0.244, 0.666, 0.722)
C (0.598, 0.052, 0.704)
C (0.155, 0.051, 0.953)
C (0.499, 0.332, 0.029)
C (0.098, 0.448, 0.704)
C (0.755, 0.165, 0.778)
C (0.405, 0.552, 0.797)
C (0.908, 0.951, 0.297)
C (0.500, 0.667, 0.471)
C (0.908, 0.049, 0.703)
C (0.843, 0.052, 0.452)
C (0.905, 0.948, 0.797)
C (0.655, 0.449, 0.953)
C (0.255, 0.665, 0.222)
C (0.405, 0.448, 0.203)
K (0.503, 0.000, 0.500)
K (0.256, 0.774, 0.875)
K (0.754, 0.256, 0.628)
K (0.003, 0.500, 0.500)
K (0.748, 0.501, 0.750)
K (0.993, 0.264, 0.371)
K (0.493, 0.764, 0.629)
K (0.995, 0.709, 0.127)
K (0.748, 0.499, 0.250)
K (0.495, 0.791, 0.127)
K (0.754, 0.744, 0.372)
K (0.993, 0.736, 0.629)
K (0.756, 0.726, 0.875)
K (0.510, 0.000, 0.000)
K (0.756, 0.274, 0.125)
K (0.495, 0.209, 0.873)
K (0.248, 0.999, 0.750)
K (0.254, 0.756, 0.372)
K (0.995, 0.291, 0.873)
K (0.254, 0.244, 0.628)
K (0.248, 0.001, 0.250)
K (0.493, 0.236, 0.371)
K (0.256, 0.226, 0.125)
K (0.010, 0.500, 0.000)
Co (0.996, 0.000, 0.500)
Co (0.750, 0.999, 0.750)
Co (0.496, 0.500, 0.500)
Co (0.750, 0.001, 0.250)
Co (0.250, 0.499, 0.250)
Co (0.500, 0.500, 0.000)
Co (0.000, 0.000, 0.000)
Co (0.250, 0.501, 0.750)

| no. | total DFT energy (no corrections) (eV/atom) |
| --- | --- |
| 1 | -6.376 |
| 2 | -4.614 |
| 3 | -7.393 |